No. 1
Entry from the Materials Project database: Na8Y3NbSi5SO24 after structural relaxation (PBE).

Computed properties:
Space group: P1

Cell: 9.439 9.444 22.875 Å, 89.76 89.96 60.07°
Element x y z (fractional)
1 Na 0.000 0.000 0.000
2 Na 0.000 0.323 0.832
3 Na 0.005 0.274 0.513
4 Na 0.019 0.631 0.261
5 Na 0.020 0.633 0.758
6 Na 0.064 0.290 0.186
7 Na 0.065 0.931 0.681
8 Na 0.312 0.297 0.687
9 Na 0.315 0.677 0.186
10 Na 0.341 0.331 0.338
11 Na 0.348 0.612 0.832
12 Na 0.353 0.962 0.605
13 Na 0.369 0.965 0.101
14 Na 0.376 0.643 0.526
15 Na 0.401 0.248 0.006
16 Na 0.651 0.651 0.013
17 Na 0.673 0.934 0.180
18 Na 0.674 0.981 0.520
19 Na 0.678 0.676 0.681
20 Na 0.686 0.281 0.916
21 Na 0.701 0.300 0.427
22 Na 0.712 0.966 0.839
23 Na 0.728 0.600 0.346
24 Na 0.989 0.958 0.347
25 Y 0.006 0.644 0.119
26 Y 0.008 0.648 0.613
27 Y 0.010 0.642 0.906
28 Y 0.011 0.639 0.410
29 Y 0.353 0.964 0.244
30 Y 0.355 0.966 0.745
31 Y 0.361 0.964 0.935
32 Y 0.686 0.293 0.079
33 Y 0.691 0.301 0.577
34 Nb 0.354 0.953 0.438
35 Nb 0.686 0.300 0.774
36 Nb 0.687 0.297 0.278
37 Si 0.026 0.938 0.506
38 Si 0.042 0.975 0.843
39 Si 0.051 0.262 0.340
40 Si 0.359 0.274 0.842
41 Si 0.360 0.655 0.339
42 Si 0.386 0.596 0.675
43 Si 0.388 0.303 0.177
44 Si 0.647 0.975 0.341
45 Si 0.658 0.651 0.843
46 Si 0.685 0.006 0.674
47 Si 0.686 0.591 0.175
48 Si 0.706 0.641 0.506
49 Si 0.709 0.938 0.011
50 Si 0.981 0.004 0.177
51 Si 0.984 0.302 0.675
52 S 0.024 0.330 0.011
53 S 0.316 0.637 0.011
54 S 0.318 0.322 0.508
55 O 0.010 0.820 0.845
56 O 0.010 0.848 0.448
57 O 0.020 0.424 0.958
58 O 0.024 0.444 0.349
59 O 0.036 0.413 0.064
60 O 0.066 0.820 0.564
61 O 0.117 0.007 0.904
62 O 0.154 0.189 0.281
63 O 0.163 0.130 0.395
64 O 0.163 0.941 0.789
65 O 0.163 0.980 0.180
66 O 0.165 0.142 0.680
67 O 0.168 0.163 0.009
68 O 0.195 0.958 0.498
69 O 0.210 0.461 0.849
70 O 0.213 0.596 0.679
71 O 0.214 0.617 0.350
72 O 0.215 0.475 0.181
73 O 0.219 0.406 0.560
74 O 0.224 0.642 0.064
75 O 0.233 0.622 0.958
76 O 0.238 0.420 0.454
77 O 0.318 0.193 0.787
78 O 0.321 0.767 0.282
79 O 0.323 0.792 0.009
80 O 0.328 0.159 0.504
81 O 0.366 0.777 0.680
82 O 0.367 0.142 0.180
83 O 0.377 0.771 0.394
84 O 0.394 0.159 0.901
85 O 0.482 0.515 0.614
86 O 0.484 0.300 0.510
87 O 0.485 0.495 0.011
88 O 0.486 0.286 0.117
89 O 0.504 0.309 0.234
90 O 0.505 0.474 0.730
91 O 0.516 0.994 0.396
92 O 0.524 0.816 0.497
93 O 0.526 0.953 0.009
94 O 0.527 0.981 0.680
95 O 0.529 0.773 0.180
96 O 0.530 0.281 0.832
97 O 0.539 0.484 0.339
98 O 0.546 0.728 0.902
99 O 0.575 0.942 0.282
100 O 0.576 0.775 0.788
101 O 0.652 0.148 0.339
102 O 0.668 0.099 0.612
103 O 0.668 0.471 0.833
104 O 0.669 0.490 0.510
105 O 0.670 0.514 0.114
106 O 0.691 0.122 0.729
107 O 0.692 0.122 0.008
108 O 0.694 0.467 0.232
109 O 0.789 0.677 0.564
110 O 0.801 0.830 0.069
111 O 0.820 0.608 0.449
112 O 0.820 0.842 0.954
113 O 0.831 0.821 0.349
114 O 0.847 0.610 0.848
115 O 0.857 0.118 0.234
116 O 0.858 0.833 0.679
117 O 0.859 0.141 0.833
118 O 0.861 0.589 0.181
119 O 0.862 0.308 0.730
120 O 0.865 0.121 0.508
121 O 0.871 0.321 0.010
122 O 0.872 0.266 0.339
123 O 0.900 0.103 0.117
124 O 0.905 0.285 0.614
125 O 0.983 0.830 0.182
126 O 0.986 0.474 0.678

=====

No. 2
Entry from the Materials Project database: Na2Y2Nb2Si3S3O24 after structural relaxation (PBE).

Computed properties:
Space group: P1

Cell: 9.114 9.119 23.593 Å, 91.68 90.06 119.83°
Element x y z (fractional)
1 Na 0.000 0.000 0.000
2 Na 0.023 0.998 0.503
3 Na 0.336 0.666 0.667
4 Na 0.373 0.680 0.176
5 Na 0.664 0.346 0.347
6 Na 0.709 0.350 0.835
7 Y 0.013 0.023 0.863
8 Y 0.037 0.024 0.364
9 Y 0.355 0.693 0.530
10 Y 0.366 0.696 0.029
11 Y 0.681 0.361 0.197
12 Y 0.701 0.365 0.695
13 Nb 0.023 0.025 0.156
14 Nb 0.033 0.038 0.650
15 Nb 0.345 0.699 0.822
16 Nb 0.363 0.680 0.330
17 Nb 0.670 0.369 0.490
18 Nb 0.706 0.376 0.982
19 Si 0.029 0.318 0.761
20 Si 0.070 0.694 0.928
21 Si 0.313 0.324 0.261
22 Si 0.371 0.989 0.428
23 Si 0.396 0.358 0.596
24 Si 0.644 0.984 0.928
25 Si 0.654 0.690 0.429
26 Si 0.694 0.650 0.094
27 Si 0.978 0.650 0.594
28 S 0.038 0.740 0.255
29 S 0.058 0.404 0.424
30 S 0.309 0.014 0.759
31 S 0.369 0.403 0.925
32 S 0.387 0.067 0.093
33 S 0.702 0.070 0.592
34 S 0.720 0.734 0.759
35 S 0.728 0.011 0.258
36 S 0.974 0.343 0.092
37 O 0.007 0.811 0.307
38 O 0.022 0.216 0.815
39 O 0.031 0.234 0.415
40 O 0.036 0.847 0.921
41 O 0.046 0.211 0.703
42 O 0.047 0.846 0.205
43 O 0.147 0.486 0.087
44 O 0.156 0.513 0.373
45 O 0.157 0.478 0.475
46 O 0.163 0.696 0.984
47 O 0.164 0.664 0.869
48 O 0.170 0.696 0.588
49 O 0.185 0.211 0.203
50 O 0.199 0.738 0.258
51 O 0.203 0.988 0.707
52 O 0.206 0.173 0.601
53 O 0.211 0.510 0.770
54 O 0.214 0.055 0.101
55 O 0.218 0.215 0.313
56 O 0.220 0.030 0.420
57 O 0.232 0.034 0.810
58 O 0.232 0.229 0.918
59 O 0.319 0.850 0.763
60 O 0.320 0.513 0.266
61 O 0.340 0.875 0.480
62 O 0.344 0.474 0.978
63 O 0.354 0.892 0.089
64 O 0.358 0.508 0.590
65 O 0.383 0.875 0.369
66 O 0.392 0.509 0.875
67 O 0.464 0.167 0.043
68 O 0.482 0.154 0.754
69 O 0.488 0.144 0.145
70 O 0.488 0.329 0.536
71 O 0.497 0.362 0.650
72 O 0.501 0.352 0.256
73 O 0.519 0.881 0.870
74 O 0.523 0.656 0.370
75 O 0.533 0.394 0.931
76 O 0.536 0.681 0.092
77 O 0.550 0.726 0.765
78 O 0.555 0.172 0.435
79 O 0.559 0.854 0.260
80 O 0.561 0.897 0.588
81 O 0.562 0.874 0.982
82 O 0.563 0.705 0.483
83 O 0.649 0.172 0.939
84 O 0.659 0.508 0.432
85 O 0.683 0.146 0.645
86 O 0.684 0.544 0.148
87 O 0.689 0.559 0.755
88 O 0.707 0.159 0.250
89 O 0.715 0.546 0.036
90 O 0.724 0.171 0.542
91 O 0.804 0.834 0.708
92 O 0.819 0.991 0.205
93 O 0.821 0.810 0.811
94 O 0.828 0.035 0.309
95 O 0.836 0.845 0.418
96 O 0.837 0.029 0.922
97 O 0.851 0.543 0.536
98 O 0.864 0.057 0.598
99 O 0.868 0.319 0.040
100 O 0.872 0.350 0.758
101 O 0.873 0.841 0.104
102 O 0.877 0.510 0.933
103 O 0.895 0.402 0.424
104 O 0.895 0.541 0.648
105 O 0.896 0.363 0.144
106 O 0.896 0.566 0.248
107 O 0.980 0.836 0.605
108 O 0.985 0.181 0.098

=====

No. 3
Entry from the Materials Project database: Na2Y3Nb5Si6S6O48 after structural relaxation (PBE).

Computed properties:
Space group: P1

Cell: 9.021 15.588 23.497 Å, 90.20 90.10 90.12°
Element x y z (fractional)
1 Na 0.000 0.000 0.000
2 Na 0.001 0.656 0.340
3 Na 0.011 0.989 0.502
4 Na 0.518 0.166 0.840
5 Na 0.530 0.497 0.002
6 Na 0.533 0.500 0.495
7 Y 0.017 0.335 0.529
8 Y 0.018 0.669 0.485
9 Y 0.020 0.001 0.863
10 Y 0.025 0.999 0.359
11 Y 0.028 0.663 0.187
12 Y 0.513 0.157 0.691
13 Y 0.518 0.501 0.863
14 Y 0.532 0.495 0.360
15 Y 0.541 0.166 0.986
16 Nb 0.003 0.328 0.027
17 Nb 0.008 0.334 0.314
18 Nb 0.019 0.333 0.816
19 Nb 0.026 0.669 0.976
20 Nb 0.033 0.989 0.149
21 Nb 0.036 0.004 0.649
22 Nb 0.036 0.668 0.689
23 Nb 0.508 0.497 0.655
24 Nb 0.521 0.156 0.477
25 Nb 0.524 0.489 0.159
26 Nb 0.527 0.824 0.821
27 Nb 0.527 0.837 0.319
28 Nb 0.529 0.162 0.193
29 Nb 0.529 0.831 0.032
30 Nb 0.539 0.826 0.533
31 Si 0.167 0.145 0.759
32 Si 0.168 0.807 0.085
33 Si 0.224 0.499 0.757
34 Si 0.314 0.662 0.586
35 Si 0.315 0.996 0.255
36 Si 0.370 0.346 0.257
37 Si 0.379 0.018 0.584
38 Si 0.382 0.690 0.926
39 Si 0.663 0.310 0.090
40 Si 0.663 0.688 0.422
41 Si 0.670 0.969 0.426
42 Si 0.673 0.019 0.090
43 Si 0.732 0.329 0.424
44 Si 0.806 0.830 0.926
45 Si 0.817 0.502 0.258
46 Si 0.878 0.189 0.920
47 Si 0.882 0.473 0.924
48 Si 0.883 0.812 0.592
49 S 0.160 0.474 0.419
50 S 0.172 0.188 0.424
51 S 0.172 0.853 0.754
52 S 0.175 0.516 0.085
53 S 0.229 0.163 0.090
54 S 0.244 0.829 0.422
55 S 0.298 0.328 0.922
56 S 0.382 0.646 0.256
57 S 0.386 0.969 0.922
58 S 0.388 0.313 0.588
59 S 0.671 0.644 0.754
60 S 0.672 0.354 0.755
61 S 0.726 0.661 0.086
62 S 0.730 0.992 0.757
63 S 0.812 0.159 0.588
64 S 0.869 0.522 0.594
65 S 0.872 0.853 0.255
66 S 0.877 0.143 0.254
67 O 0.081 0.238 0.767
68 O 0.083 0.557 0.419
69 O 0.084 0.758 0.032
70 O 0.092 0.905 0.095
71 O 0.093 0.093 0.700
72 O 0.100 0.884 0.805
73 O 0.101 0.424 0.368
74 O 0.105 0.548 0.137
75 O 0.109 0.764 0.742
76 O 0.112 0.100 0.421
77 O 0.115 0.228 0.475
78 O 0.116 0.578 0.736
79 O 0.118 0.428 0.074
80 O 0.123 0.088 0.101
81 O 0.126 0.413 0.766
82 O 0.130 0.426 0.472
83 O 0.135 0.240 0.083
84 O 0.141 0.082 0.811
85 O 0.142 0.237 0.371
86 O 0.142 0.908 0.703
87 O 0.144 0.573 0.036
88 O 0.147 0.906 0.418
89 O 0.153 0.751 0.421
90 O 0.153 0.757 0.143
91 O 0.191 0.011 0.596
92 O 0.191 0.336 0.269
93 O 0.198 0.983 0.199
94 O 0.199 0.685 0.932
95 O 0.202 0.674 0.643
96 O 0.206 0.335 0.974
97 O 0.209 0.323 0.869
98 O 0.218 0.017 0.310
99 O 0.219 0.632 0.533
100 O 0.222 0.658 0.248
101 O 0.224 0.971 0.918
102 O 0.230 0.328 0.581
103 O 0.311 0.142 0.039
104 O 0.320 0.483 0.415
105 O 0.324 0.176 0.140
106 O 0.330 0.523 0.808
107 O 0.334 0.837 0.473
108 O 0.335 0.843 0.762
109 O 0.336 0.826 0.368
110 O 0.340 0.182 0.430
111 O 0.340 0.510 0.093
112 O 0.341 0.164 0.752
113 O 0.341 0.827 0.070
114 O 0.343 0.483 0.700
115 O 0.387 0.248 0.924
116 O 0.395 0.405 0.920
117 O 0.403 0.593 0.306
118 O 0.404 0.414 0.200
119 O 0.408 0.087 0.532
120 O 0.414 0.264 0.640
121 O 0.417 0.747 0.865
122 O 0.417 0.910 0.266
123 O 0.418 0.745 0.579
124 O 0.422 0.077 0.236
125 O 0.426 0.922 0.974
126 O 0.427 0.581 0.607
127 O 0.432 0.923 0.568
128 O 0.438 0.254 0.235
129 O 0.445 0.924 0.868
130 O 0.446 0.602 0.204
131 O 0.447 0.745 0.979
132 O 0.449 0.052 0.642
133 O 0.452 0.055 0.921
134 O 0.452 0.386 0.310
135 O 0.453 0.597 0.924
136 O 0.455 0.273 0.537
137 O 0.455 0.731 0.262
138 O 0.462 0.402 0.596
139 O 0.577 0.599 0.424
140 O 0.584 0.064 0.434
141 O 0.586 0.280 0.033
142 O 0.595 0.068 0.144
143 O 0.596 0.730 0.762
144 O 0.597 0.601 0.704
145 O 0.597 0.928 0.366
146 O 0.598 0.408 0.105
147 O 0.600 0.923 0.080
148 O 0.605 0.742 0.480
149 O 0.606 0.393 0.806
150 O 0.613 0.750 0.365
151 O 0.615 0.267 0.747
152 O 0.618 0.406 0.422
153 O 0.622 0.913 0.481
154 O 0.625 0.586 0.093
155 O 0.630 0.247 0.144
156 O 0.630 0.739 0.078
157 O 0.631 0.914 0.765
158 O 0.633 0.238 0.436
159 O 0.634 0.068 0.752
160 O 0.637 0.408 0.704
161 O 0.654 0.593 0.806
162 O 0.663 0.074 0.033
163 O 0.696 0.840 0.980
164 O 0.697 0.819 0.867
165 O 0.699 0.184 0.918
166 O 0.700 0.488 0.201
167 O 0.703 0.821 0.585
168 O 0.706 0.482 0.922
169 O 0.707 0.509 0.606
170 O 0.707 0.848 0.261
171 O 0.714 0.157 0.245
172 O 0.716 0.146 0.538
173 O 0.724 0.517 0.313
174 O 0.728 0.173 0.640
175 O 0.812 0.677 0.138
176 O 0.819 0.002 0.808
177 O 0.822 0.647 0.036
178 O 0.822 0.979 0.705
179 O 0.828 0.658 0.742
180 O 0.835 0.338 0.479
181 O 0.836 0.351 0.760
182 O 0.842 0.684 0.421
183 O 0.844 0.985 0.423
184 O 0.845 0.316 0.367
185 O 0.846 0.322 0.081
186 O 0.849 0.005 0.109
187 O 0.883 0.570 0.541
188 O 0.892 0.092 0.306
189 O 0.896 0.739 0.933
190 O 0.904 0.077 0.594
191 O 0.906 0.907 0.203
192 O 0.912 0.409 0.265
193 O 0.914 0.909 0.922
194 O 0.917 0.229 0.581
195 O 0.918 0.748 0.646
196 O 0.927 0.413 0.980
197 O 0.929 0.250 0.866
198 O 0.932 0.766 0.248
199 O 0.934 0.576 0.248
200 O 0.935 0.569 0.644
201 O 0.936 0.892 0.306
202 O 0.938 0.240 0.980
203 O 0.940 0.437 0.592
204 O 0.945 0.101 0.204
205 O 0.947 0.908 0.610
206 O 0.948 0.228 0.262
207 O 0.954 0.428 0.867
208 O 0.961 0.098 0.925
209 O 0.963 0.779 0.536
210 O 0.964 0.565 0.939

=====

Number 1: formation energy from the elements -123.45 eV per formula unit, energy -891.178 eV for the cell shown. Number 2: formation energy from the elements -98.47 eV per formula unit, energy -795.606 eV for the cell shown. Number 3: formation energy from the elements -192.19 eV per formula unit, energy -1579.913 eV for the cell shown.